1.
A geometry-optimized Mo3Se2ClO8 structure, computed with PBE with a Hubbard U.

size of the total moment	9.00	μB/f.u.
calculated formation energy	-1.297	eV per atom
total energy after the MP2020 corrections	-7.08	eV/atom
mass density	3.34	g cm⁻³

extended XYZ file:
```
28
Lattice="7.191 0.000 0.000 0.344 8.162 0.000 0.006 0.040 10.316" Properties=species:S:1:pos:R:3 pbc="T T T"
O 5.429 3.164 1.170
Cl 2.828 0.944 2.581
Se 5.490 2.951 5.671
Se 5.443 2.956 9.766
O 2.109 7.997 6.152
Se 2.100 5.261 4.637
O 3.472 6.282 4.397
O 5.465 0.213 4.161
O 2.076 8.003 9.319
Mo 3.923 8.155 0.005
Mo 0.023 0.024 5.149
O 0.644 6.242 0.748
Mo 7.524 8.199 10.308
Cl 4.713 7.254 7.794
O 5.458 3.177 3.952
O 6.893 1.945 5.889
O 6.846 1.948 9.546
O 4.127 1.923 5.942
Se 2.049 5.237 0.541
O 3.411 6.264 0.807
O 2.088 5.036 9.137
O 5.435 0.192 0.995
O 4.077 1.932 9.527
O 0.704 6.273 4.399
Mo 2.302 6.584 7.744
Mo 5.238 1.619 2.568
Mo 3.616 0.026 5.163
O 2.099 5.028 6.356
```

***

2.
A geometry-optimized MoSe2Cl4O structure, computed with PBE with a Hubbard U.

size of the total moment	1.00	μB/f.u.
calculated formation energy	-0.717	eV per atom
polymorph energy (0 for the lowest one)	0.0	kJ/mol of atoms
total energy after the MP2020 corrections	-4.49	eV/atom
mass density	3.06	g cm⁻³

extended XYZ file:
```
128
Lattice="7.974 0.000 0.000 0.000 15.817 -3.553 0.000 -0.135 28.354" Properties=species:S:1:pos:R:3 pbc="T T T"
Mo 2.253 10.566 19.663
Cl 3.389 11.011 21.748
Cl 1.370 8.319 13.220
Se 5.839 2.888 10.937
Cl 6.568 15.051 -0.904
Se 2.119 14.202 15.717
Cl 5.269 7.829 0.989
Cl 2.617 8.387 -0.957
Cl 4.118 10.775 25.805
Se 0.447 9.799 23.753
Cl 6.980 9.940 -1.013
Cl 7.367 12.418 1.769
Cl 0.432 12.642 24.981
Cl 5.242 15.334 9.603
Cl 0.764 14.240 9.618
Se 6.183 8.847 7.871
O 0.697 13.385 21.977
Se 0.076 13.662 13.165
O 0.656 10.650 20.195
Se 2.135 12.794 13.864
Mo 4.696 9.584 -0.613
Se 7.796 7.802 22.708
Cl 6.692 7.762 15.166
Cl 2.732 0.348 15.198
Cl 5.159 7.385 4.809
Cl 5.273 2.837 5.844
Mo 6.240 5.049 19.315
Cl 2.130 2.324 4.434
Cl 0.598 11.078 7.571
Mo 6.297 12.870 3.909
Cl 1.406 0.631 25.705
Cl 3.855 4.907 -1.004
O 7.290 12.735 17.608
O 3.303 2.879 21.370
Se 1.574 4.924 1.699
Mo 5.664 12.802 18.087
Cl 5.118 15.142 17.661
Cl 2.815 8.297 19.992
Cl 4.981 9.872 13.164
Cl 6.117 13.425 6.190
Cl 3.555 12.709 10.804
Se 2.196 6.902 2.753
Cl 6.604 7.363 11.580
Cl 4.594 12.351 15.946
Cl 1.282 7.920 9.635
Cl 7.542 3.040 -0.180
O 0.298 4.990 10.092
Se 5.855 1.480 9.084
Se 6.106 1.413 23.261
Cl 2.581 0.699 11.527
Cl 0.994 5.742 25.814
Se 0.178 7.880 2.093
Se 6.400 10.758 23.102
Se 1.852 12.861 -0.313
O 7.318 5.032 4.606
Cl 1.918 10.015 17.326
Mo 7.265 9.517 13.564
Cl 2.701 12.845 18.957
Mo 2.310 2.880 6.714
Cl 0.131 4.840 13.173
Cl 5.191 10.542 18.705
Cl 1.172 8.364 5.815
Se 3.809 7.812 16.270
Cl 4.418 2.973 13.997
Se 4.063 1.953 25.813
Cl 5.905 5.600 21.652
Cl 0.607 3.264 23.032
Se 7.868 0.552 9.830
Cl 2.993 5.810 11.637
Se 0.106 15.130 14.971
Mo 5.721 5.116 5.138
Cl 6.770 10.610 4.527
Cl 7.842 10.842 11.628
Se 1.791 6.835 16.930
Cl 7.376 4.604 17.230
Cl 6.056 5.667 7.475
Cl 5.393 14.983 13.273
Cl 3.380 3.331 8.855
O 4.643 4.965 18.783
Se 4.093 0.484 24.007
Cl 3.223 14.172 23.795
Cl 1.286 12.912 4.780
Se 2.413 4.857 15.876
Cl 1.131 0.473 21.317
Cl 4.585 4.671 3.053
Se 7.527 5.883 1.048
Cl 1.255 0.415 1.021
Mo 0.709 6.165 11.236
O 3.689 4.923 24.269
O 3.290 13.452 7.800
Se 5.778 8.780 22.048
O 7.277 2.297 2.824
Se 7.898 2.020 11.635
O 3.331 10.717 6.018
Cl 2.856 0.540 7.139
Cl 6.719 15.267 23.780
Mo 4.924 1.248 15.649
Mo 7.037 1.316 1.472
Mo 1.734 10.633 5.486
Se 4.434 5.815 15.225
O 4.671 12.803 3.430
Cl 1.204 5.072 20.273
Se 3.911 13.729 -1.012
Cl 6.843 15.209 3.484
Cl 6.802 7.318 18.986
Cl 1.857 2.257 18.611
O 7.675 10.692 14.709
Cl 5.357 7.295 25.758
Cl 4.751 1.510 1.006
Cl 7.210 1.442 15.183
Mo 3.050 14.434 9.152
Cl 6.688 2.770 20.021
Mo 1.677 2.812 20.891
Cl 2.705 7.853 23.812
Mo 0.937 14.366 23.329
Se 3.881 15.198 0.794
O 4.684 2.230 17.001
Se 3.540 9.867 9.576
Se 4.165 7.870 8.530
Cl 2.783 5.140 6.096
O 4.285 10.759 0.532
Cl 5.844 13.358 20.367
Se 1.868 14.269 1.540
Se 5.561 10.825 8.925
Se 6.122 2.821 25.114
Cl 2.069 10.082 3.149
Mo 3.278 6.098 25.414
O 0.684 2.947 7.193
```